Density functional theory data (GGA+U) for a relaxed structure of Fe10O9F11.

SG: Amm2
ΔH_f (0 K): -2.063 eV/atom

Unit cell a=4.780 b=4.780 c=15.417 alpha=90.00 beta=90.00 gamma=95.58
Element x y z (fractional)
1 F 0.798 0.202 0.604
2 F 0.202 0.798 0.396
3 F 0.807 0.193 0.000
4 F 0.190 0.805 0.800
5 F 0.202 0.798 0.604
6 F 0.798 0.202 0.396
7 F 0.193 0.807 0.000
8 F 0.805 0.190 0.200
9 F 0.190 0.805 0.200
10 F 0.805 0.190 0.800
11 F 0.711 0.711 0.500
12 Fe 0.489 0.489 0.606
13 Fe 0.995 0.995 0.698
14 Fe 0.499 0.499 0.198
15 Fe 0.024 0.024 0.500
16 Fe 0.489 0.489 0.394
17 Fe 0.995 0.995 0.302
18 Fe 0.500 0.500 0.000
19 Fe 0.499 0.499 0.802
20 Fe 0.000 0.000 0.100
21 Fe 0.000 0.000 0.900
22 O 0.327 0.327 0.500
23 O 0.294 0.294 0.297
24 O 0.700 0.700 0.900
25 O 0.700 0.700 0.100
26 O 0.698 0.698 0.701
27 O 0.299 0.299 0.099
28 O 0.299 0.299 0.901
29 O 0.698 0.698 0.299
30 O 0.294 0.294 0.703

---

Density functional theory data (GGA+U) for a relaxed structure of Li9Mn7O16.

SG: C2/m
ΔH_f (0 K): -2.118 eV/atom

Unit cell a=6.005 b=6.005 c=10.641 alpha=69.94 beta=69.94 gamma=57.47
Element x y z (fractional)
1 Mn 0.249 0.746 0.244
2 Mn 0.751 0.254 0.756
3 Mn 0.254 0.751 0.756
4 Mn 0.000 0.000 0.500
5 Mn 0.746 0.249 0.244
6 Mn 0.500 0.500 0.500
7 Mn 0.000 0.000 0.000
8 Li 0.500 0.000 0.000
9 Li 0.500 0.000 0.500
10 Li 0.000 0.500 0.500
11 Li 0.000 0.500 0.000
12 Li 0.743 0.743 0.761
13 Li 0.751 0.751 0.244
14 Li 0.249 0.249 0.756
15 Li 0.500 0.500 0.000
16 Li 0.257 0.257 0.239
17 O 0.386 0.386 0.861
18 O 0.140 0.638 0.617
19 O 0.886 0.886 0.362
20 O 0.120 0.120 0.136
21 O 0.114 0.114 0.638
22 O 0.875 0.349 0.876
23 O 0.349 0.875 0.876
24 O 0.362 0.860 0.383
25 O 0.614 0.614 0.139
26 O 0.651 0.125 0.124
27 O 0.382 0.382 0.363
28 O 0.618 0.618 0.637
29 O 0.880 0.880 0.864
30 O 0.125 0.651 0.124
31 O 0.860 0.362 0.383
32 O 0.638 0.140 0.617

---

Density functional theory data (GGA+U) for a relaxed structure of VZn2P2O9.

piezoelectric modulus e_max: 0.5 C/m2
SG: I4cm
ΔH_f (0 K): -2.439 eV/atom

Unit cell a=7.883 b=7.883 c=7.883 alpha=109.99 beta=109.99 gamma=108.44
Element x y z (fractional)
1 V 0.896 0.896 0.000
2 V 0.396 0.396 0.000
3 Zn 0.353 0.853 0.738
4 Zn 0.853 0.115 0.500
5 Zn 0.115 0.615 0.262
6 Zn 0.615 0.353 0.500
7 O 0.484 0.174 0.966
8 O 0.381 0.182 0.500
9 O 0.160 0.868 0.500
10 O 0.984 0.018 0.310
11 O 0.660 0.160 0.292
12 O 0.674 0.984 0.966
13 O 0.518 0.484 0.310
14 O 0.174 0.209 0.690
15 O 0.209 0.518 0.034
16 O 0.072 0.072 0.000
17 O 0.682 0.881 0.500
18 O 0.868 0.368 0.708
19 O 0.182 0.682 0.800
20 O 0.368 0.660 0.500
21 O 0.881 0.381 0.200
22 O 0.709 0.674 0.690
23 O 0.572 0.572 0.000
24 O 0.018 0.709 0.034
25 P 0.187 0.073 0.500
26 P 0.687 0.187 0.114
27 P 0.073 0.573 0.886
28 P 0.573 0.687 0.500

---

Density functional theory data (GGA+U) for a relaxed structure of CsFeO2.

SG: Fd-3m
ΔH_f (0 K): -1.734 eV/atom

Unit cell a=6.122 b=6.122 c=6.122 alpha=90.00 beta=60.00 gamma=120.00
Element x y z (fractional)
1 Cs 0.250 0.625 0.625
2 Cs 0.750 0.375 0.375
3 Fe 0.750 0.875 0.875
4 Fe 0.250 0.125 0.125
5 O 0.000 0.000 0.500
6 O 0.500 0.000 0.000
7 O 0.000 0.000 0.000
8 O 0.500 0.500 0.000

---

- Look up the ΔH_f (0 K) of the second one.
  -2.118 eV/atom